Record 1
Entry from the Materials Project: a relaxed structure of ZrAlAu2 (GGA-PBE).

a = 3.199 Å, b = 3.199 Å, c = 7.113 Å
α = 90.00°, β = 90.00°, γ = 90.00°
Fractional positions:
Zr  0.500  0.500  0.500
Au  0.000  0.000  0.219
Au  0.000  0.000  0.781
Al  0.500  0.500  0.000

Output
DFT formation energy = -1.95 eV/f.u.
Electronic total energy = -5.20 eV/atom
Space-group type = P4/mmm, No. 123



Record 2
Entry from the Materials Project: a relaxed structure of Mg14ZnCo (GGA-PBE).

a = 6.265 Å, b = 6.325 Å, c = 9.768 Å
α = 90.00°, β = 90.00°, γ = 120.32°
Fractional positions:
Mg  0.832  0.166  0.873
Mg  0.320  0.153  0.902
Mg  0.832  0.166  0.377
Mg  0.840  0.670  0.883
Mg  0.840  0.670  0.367
Mg  0.171  0.836  0.625
Mg  0.663  0.829  0.625
Mg  0.173  0.336  0.625
Mg  0.320  0.668  0.348
Mg  0.663  0.334  0.625
Mg  0.320  0.668  0.902
Mg  0.700  0.351  0.125
Mg  0.320  0.153  0.348
Mg  0.700  0.849  0.125
Co  0.148  0.824  0.125
Zn  0.157  0.328  0.125

Output
DFT formation energy = 0.95 eV/f.u.
Electronic total energy = -1.86 eV/atom
Space-group type = Amm2, No. 38



Record 3
Entry from the Materials Project: a relaxed structure of Li6Hf2O7 (GGA-PBE).

a = 6.048 Å, b = 5.352 Å, c = 10.352 Å
α = 69.70°, β = 90.00°, γ = 90.00°
Fractional positions:
O  0.218  0.521  0.736
O  0.989  0.045  0.745
O  0.732  0.989  0.504
O  0.782  0.479  0.264
O  0.500  0.500  0.500
O  0.268  0.011  0.496
O  0.489  0.955  0.755
O  0.511  0.045  0.245
O  0.768  0.989  0.004
O  0.232  0.011  0.996
O  0.282  0.521  0.236
O  0.000  0.500  0.000
O  0.718  0.479  0.764
O  0.011  0.955  0.255
Hf  0.991  0.270  0.866
Hf  0.009  0.730  0.134
Hf  0.509  0.270  0.366
Hf  0.491  0.730  0.634
Li  0.764  0.784  0.863
Li  0.497  0.840  0.124
Li  0.236  0.216  0.137
Li  0.503  0.160  0.876
Li  0.285  0.789  0.357
Li  0.997  0.160  0.376
Li  0.215  0.789  0.857
Li  0.003  0.840  0.624
Li  0.264  0.216  0.637
Li  0.715  0.211  0.643
Li  0.785  0.211  0.143
Li  0.736  0.784  0.363

Output
DFT formation energy = -44.49 eV/f.u.
Electronic total energy = -7.05 eV/atom
Space-group type = P2_1/c, No. 14



Record 4
Entry from the Materials Project: a relaxed structure of SrCa3Zr16P24O96 (GGA-PBE).

a = 12.877 Å, b = 12.877 Å, c = 12.877 Å
α = 92.15°, β = 92.15°, γ = 87.85°
Fractional positions:
O  0.699  0.827  0.112
O  0.174  0.112  0.700
O  0.170  0.089  0.507
O  0.008  0.829  0.589
O  0.177  0.986  0.886
O  0.826  0.888  0.300
O  0.592  0.994  0.825
O  0.303  0.706  0.098
O  0.826  0.388  0.800
O  0.589  0.493  0.330
O  0.671  0.589  0.508
O  0.387  0.823  0.487
O  0.887  0.823  0.986
O  0.823  0.014  0.114
O  0.089  0.993  0.330
O  0.830  0.911  0.493
O  0.823  0.514  0.613
O  0.402  0.803  0.294
O  0.098  0.196  0.207
O  0.325  0.908  0.994
O  0.804  0.707  0.598
O  0.386  0.323  0.986
O  0.514  0.886  0.677
O  0.301  0.173  0.888
O  0.113  0.300  0.826
O  0.323  0.014  0.613
O  0.400  0.305  0.793
O  0.902  0.804  0.793
O  0.170  0.589  0.007
O  0.293  0.598  0.804
O  0.112  0.800  0.326
O  0.200  0.326  0.112
O  0.206  0.902  0.197
O  0.098  0.696  0.707
O  0.677  0.487  0.887
O  0.113  0.177  0.014
O  0.507  0.330  0.589
O  0.794  0.098  0.803
O  0.014  0.387  0.677
O  0.614  0.677  0.014
O  0.408  0.006  0.175
O  0.800  0.674  0.888
O  0.700  0.326  0.612
O  0.486  0.114  0.323
O  0.293  0.100  0.305
O  0.992  0.171  0.411
O  0.987  0.113  0.823
O  0.323  0.513  0.113
O  0.707  0.900  0.695
O  0.411  0.507  0.670
O  0.986  0.613  0.323
O  0.830  0.411  0.993
O  0.993  0.670  0.911
O  0.486  0.613  0.823
O  0.696  0.793  0.402
O  0.514  0.387  0.177
O  0.013  0.887  0.177
O  0.200  0.826  0.613
O  0.196  0.293  0.402
O  0.675  0.092  0.006
O  0.673  0.112  0.199
O  0.388  0.700  0.674
O  0.207  0.402  0.696
O  0.888  0.200  0.674
O  0.304  0.207  0.598
O  0.007  0.330  0.089
O  0.887  0.323  0.486
O  0.677  0.986  0.387
O  0.300  0.674  0.388
O  0.887  0.700  0.174
O  0.793  0.598  0.304
O  0.598  0.197  0.706
O  0.177  0.486  0.387
O  0.113  0.677  0.514
O  0.195  0.793  0.900
O  0.174  0.612  0.200
O  0.707  0.402  0.196
O  0.494  0.175  0.908
O  0.089  0.492  0.829
O  0.612  0.801  0.827
O  0.805  0.207  0.100
O  0.902  0.304  0.293
O  0.911  0.508  0.171
O  0.697  0.294  0.902
O  0.388  0.199  0.173
O  0.506  0.825  0.092
O  0.329  0.411  0.492
O  0.674  0.613  0.700
O  0.326  0.387  0.300
O  0.493  0.670  0.411
O  0.612  0.300  0.326
O  0.327  0.888  0.801
O  0.600  0.695  0.207
O  0.613  0.177  0.513
O  0.911  0.007  0.670
O  0.800  0.174  0.387
P  0.895  0.106  0.743
P  0.894  0.606  0.244
P  0.243  0.605  0.106
P  0.106  0.756  0.606
P  0.894  0.244  0.394
P  0.106  0.256  0.106
P  0.106  0.394  0.756
P  0.757  0.395  0.894
P  0.606  0.894  0.755
P  0.606  0.257  0.605
P  0.894  0.744  0.894
P  0.606  0.394  0.256
P  0.394  0.245  0.894
P  0.394  0.106  0.245
P  0.756  0.894  0.394
P  0.745  0.106  0.106
P  0.105  0.894  0.257
P  0.256  0.394  0.394
P  0.606  0.755  0.106
P  0.394  0.606  0.744
P  0.744  0.606  0.606
P  0.394  0.743  0.395
P  0.255  0.894  0.894
P  0.244  0.106  0.606
Zr  0.852  0.851  0.649
Zr  0.141  0.141  0.859
Zr  0.859  0.359  0.641
Zr  0.351  0.351  0.648
Zr  0.359  0.859  0.641
Zr  0.650  0.150  0.850
Zr  0.359  0.359  0.141
Zr  0.148  0.149  0.351
Zr  0.641  0.141  0.359
Zr  0.649  0.649  0.352
Zr  0.350  0.850  0.150
Zr  0.641  0.641  0.859
Zr  0.141  0.641  0.359
Zr  0.851  0.352  0.149
Zr  0.149  0.648  0.851
Zr  0.859  0.859  0.141
Sr  0.500  0.000  0.000
Ca  0.000  0.000  0.500
Ca  0.000  0.500  0.000
Ca  0.500  0.500  0.500

Output
Excess energy over the best structure of this formula in the dataset = 3 meV/atom
DFT formation energy = -454.72 eV/f.u.
Electronic total energy = -8.13 eV/atom
Space-group type = R-3, No. 148



Record 5
Entry from the Materials Project: a relaxed structure of YMn2S4 (GGA-PBE).

a = 7.651 Å, b = 7.651 Å, c = 7.651 Å
α = 121.65°, β = 121.65°, γ = 87.17°
Fractional positions:
S  0.631  0.356  0.276
S  0.080  0.356  0.724
S  0.644  0.369  0.724
S  0.106  0.881  0.776
S  0.670  0.894  0.776
S  0.119  0.894  0.224
S  0.644  0.920  0.276
S  0.106  0.330  0.224
Mn  0.375  0.125  0.250
Mn  0.875  0.125  0.250
Mn  0.875  0.625  0.750
Mn  0.875  0.125  0.750
Y  0.250  0.750  0.500
Y  0.500  0.500  0.000

Output
Excess energy over the best structure of this formula in the dataset = 110 meV/atom
DFT formation energy = -8.57 eV/f.u.
Electronic total energy = -6.84 eV/atom
Space-group type = I4_1/amd, No. 141



Record 6
Entry from the Materials Project: a relaxed structure of ReC2 (GGA-PBE).

a = 2.590 Å, b = 2.590 Å, c = 10.041 Å
α = 90.00°, β = 90.00°, γ = 120.00°
Fractional positions:
C  0.667  0.333  0.515
C  0.333  0.667  0.485
C  0.333  0.667  0.015
C  0.667  0.333  0.985
Re  0.667  0.333  0.750
Re  0.333  0.667  0.250

Output
Excess energy over the best structure of this formula in the dataset = 379 meV/atom
DFT formation energy = 2.44 eV/f.u.
Electronic total energy = -9.49 eV/atom
Space-group type = P6_3/mmc, No. 194



Record 7
Entry from the Materials Project: a relaxed structure of RbMgNbO3 (GGA-PBE).

a = 5.220 Å, b = 5.220 Å, c = 5.220 Å
α = 103.79°, β = 103.77°, γ = 76.23°
Fractional positions:
O  0.558  0.062  0.938
O  0.060  0.561  0.938
O  0.060  0.062  0.439
Rb  0.500  0.505  0.495
Nb  0.905  0.907  0.093
Mg  0.167  0.170  0.830

Output
Excess energy over the best structure of this formula in the dataset = 0 meV/atom
DFT formation energy = -13.97 eV/f.u.
Electronic total energy = -6.57 eV/atom
Space-group type = Cm, No. 8



Record 8
Entry from the Materials Project: a relaxed structure of Gd13Ge6O31F (GGA-PBE).

a = 9.834 Å, b = 9.834 Å, c = 9.834 Å
α = 109.81°, β = 109.81°, γ = 109.81°
Fractional positions:
O  0.931  0.250  0.339
O  0.755  0.931  0.023
O  0.978  0.243  0.071
O  0.830  0.450  0.901
O  0.931  0.023  0.755
O  0.408  0.692  0.994
O  0.748  0.503  0.415
O  0.023  0.755  0.931
O  0.009  0.594  0.314
O  0.594  0.314  0.009
O  0.072  0.752  0.666
O  0.315  0.315  0.315
O  0.666  0.072  0.752
O  0.107  0.177  0.556
O  0.250  0.339  0.931
O  0.503  0.415  0.748
O  0.339  0.931  0.250
O  0.994  0.408  0.692
O  0.692  0.994  0.408
O  0.901  0.830  0.450
O  0.252  0.509  0.598
O  0.598  0.252  0.509
O  0.556  0.107  0.177
O  0.071  0.978  0.243
O  0.450  0.901  0.830
O  0.243  0.071  0.978
O  0.752  0.666  0.072
O  0.314  0.009  0.594
O  0.415  0.748  0.503
O  0.509  0.598  0.252
O  0.177  0.556  0.107
Ge  0.447  0.934  0.660
Ge  0.660  0.447  0.934
Ge  0.934  0.660  0.447
Ge  0.557  0.069  0.342
Ge  0.069  0.342  0.557
Ge  0.342  0.557  0.069
Gd  0.852  0.942  0.275
Gd  0.155  0.061  0.726
Gd  0.676  0.828  0.525
Gd  0.828  0.525  0.676
Gd  0.726  0.155  0.061
Gd  0.185  0.469  0.329
Gd  0.275  0.852  0.942
Gd  0.942  0.275  0.852
Gd  0.469  0.329  0.185
Gd  0.329  0.185  0.469
Gd  0.005  0.005  0.005
Gd  0.061  0.726  0.155
Gd  0.525  0.676  0.828
F  0.703  0.703  0.703

Output
DFT formation energy = -170.54 eV/f.u.
Electronic total energy = -10.09 eV/atom
Space-group type = R3, No. 146



Record 9
Entry from the Materials Project: a relaxed structure of Ba2Hg3Pd7O14 (GGA-PBE).

a = 6.277 Å, b = 6.277 Å, c = 11.117 Å
α = 89.66°, β = 89.66°, γ = 60.90°
Fractional positions:
O  0.636  0.636  0.497
O  0.123  0.691  0.898
O  0.309  0.877  0.102
O  0.994  0.994  0.687
O  0.877  0.309  0.102
O  0.006  0.006  0.313
O  0.992  0.520  0.684
O  0.689  0.689  0.899
O  0.520  0.992  0.684
O  0.311  0.311  0.101
O  0.008  0.480  0.316
O  0.480  0.008  0.316
O  0.691  0.123  0.898
O  0.364  0.364  0.503
Hg  0.175  0.175  0.805
Hg  0.825  0.825  0.195
Hg  0.000  0.000  0.500
Pd  0.167  0.167  0.222
Pd  0.500  0.000  0.500
Pd  0.000  0.500  0.500
Pd  0.000  0.500  0.000
Pd  0.000  0.000  0.000
Pd  0.500  0.000  0.000
Pd  0.833  0.833  0.778
Ba  0.497  0.497  0.295
Ba  0.503  0.503  0.705

Output
DFT formation energy = -31.15 eV/f.u.
Electronic total energy = -5.07 eV/atom
Space-group type = C2/m, No. 12



Record 10
Entry from the Materials Project: a relaxed structure of N (GGA-PBE).

a = 4.043 Å, b = 4.043 Å, c = 6.671 Å
α = 90.00°, β = 90.00°, γ = 120.00°
Fractional positions:
N  0.667  0.333  0.666
N  0.333  0.667  0.334
N  0.667  0.333  0.834
N  0.333  0.667  0.166

Output
Excess energy over the best structure of this formula in the dataset = 14 meV/atom
DFT formation energy = 0.01 eV/f.u.
Electronic total energy = -8.32 eV/atom
Space-group type = P6_3/mmc, No. 194



Record 11
Entry from the Materials Project: a relaxed structure of BaCO3 (GGA-PBE).

a = 5.352 Å, b = 4.608 Å, c = 6.980 Å
α = 72.22°, β = 90.00°, γ = 90.00°
Fractional positions:
O  0.521  0.811  0.824
O  0.021  0.189  0.176
O  0.732  0.572  0.636
O  0.442  0.190  0.175
O  0.942  0.810  0.825
O  0.232  0.428  0.364
C  0.731  0.737  0.758
C  0.231  0.263  0.242
Ba  0.231  0.325  0.771
Ba  0.731  0.675  0.229

Output
DFT formation energy = -13.39 eV/f.u.
Electronic total energy = -7.46 eV/atom
Space-group type = P2_1/m, No. 11



Record 12
Entry from the Materials Project: a relaxed structure of AlSeS2N2Cl5 (GGA-PBE).

a = 11.068 Å, b = 9.594 Å, c = 14.886 Å
α = 51.91°, β = 90.00°, γ = 90.00°
Fractional positions:
Al  0.140  0.283  0.691
Al  0.860  0.717  0.309
Al  0.360  0.283  0.191
Al  0.640  0.717  0.809
Cl  0.022  0.384  0.758
Cl  0.713  0.530  0.397
Cl  0.478  0.384  0.258
Cl  0.039  0.255  0.581
Cl  0.866  0.930  0.925
Cl  0.539  0.745  0.919
Cl  0.134  0.070  0.075
Cl  0.978  0.616  0.242
Cl  0.366  0.070  0.575
Cl  0.213  0.470  0.103
Cl  0.634  0.930  0.425
Cl  0.961  0.745  0.419
Cl  0.461  0.255  0.081
Cl  0.787  0.970  0.168
Cl  0.787  0.530  0.897
Cl  0.213  0.030  0.832
Cl  0.287  0.470  0.603
Cl  0.522  0.616  0.742
Cl  0.287  0.030  0.332
Cl  0.713  0.970  0.668
S  0.752  0.348  0.191
S  0.248  0.652  0.809
S  0.962  0.179  0.313
S  0.462  0.821  0.187
S  0.748  0.348  0.691
S  0.538  0.179  0.813
S  0.252  0.652  0.309
S  0.038  0.821  0.687
N  0.874  0.124  0.415
N  0.891  0.299  0.198
N  0.374  0.876  0.085
N  0.109  0.701  0.802
N  0.609  0.299  0.698
N  0.126  0.876  0.585
N  0.391  0.701  0.302
N  0.626  0.124  0.915
Se  0.282  0.826  0.611
Se  0.218  0.826  0.111
Se  0.782  0.174  0.889
Se  0.718  0.174  0.389

Output
DFT formation energy = -8.36 eV/f.u.
Electronic total energy = -4.25 eV/atom
Space-group type = P2_1/c, No. 14



Repeat the eleventh record exactly.
Entry from the Materials Project: a relaxed structure of BaCO3 (GGA-PBE).

a = 5.352 Å, b = 4.608 Å, c = 6.980 Å
α = 72.22°, β = 90.00°, γ = 90.00°
Fractional positions:
O  0.521  0.811  0.824
O  0.021  0.189  0.176
O  0.732  0.572  0.636
O  0.442  0.190  0.175
O  0.942  0.810  0.825
O  0.232  0.428  0.364
C  0.731  0.737  0.758
C  0.231  0.263  0.242
Ba  0.231  0.325  0.771
Ba  0.731  0.675  0.229

Output
DFT formation energy = -13.39 eV/f.u.
Electronic total energy = -7.46 eV/atom
Space-group type = P2_1/m, No. 11